A plane-wave DFT calculation with r²SCAN was carried out for crystalline AlV9Au2 at its relaxed geometry.

As for the formation energy: -1.6 eV/f.u. Its spin magnetization is 0.28 μB per atom. The value obtained for the total energy is -19.69 eV per atom.

Cell: 4.829 4.850 14.525 Å, 90.00 90.00 90.00°
Space group Pmmm (No. 47)
Inequivalent atoms, fractional coordinates:
Al 0.000 0.000 0.166 [2 per cell]
V 0.000 0.250 0.000 [2 per cell]
V 0.000 0.250 0.329 [4 per cell]
V 0.244 0.500 0.166 [4 per cell]
V 0.250 0.500 0.500 [2 per cell]
V 0.500 0.000 0.083 [2 per cell]
V 0.500 0.000 0.250 [2 per cell]
V 0.500 0.000 0.419 [2 per cell]
Au 0.000 0.000 0.500 [1 per cell]
Au 0.500 0.500 0.000 [1 per cell]
Au 0.500 0.500 0.334 [2 per cell]

A plane-wave DFT calculation with r²SCAN was carried out for crystalline Sr2Bi2O5 at its relaxed geometry.

As for the formation energy: -19.1 eV/f.u. Its spin magnetization is 0.00 μB per atom. The value obtained for the total energy is -21.81 eV per atom.

Cell: 14.326 6.208 7.675 Å, 90.00 90.00 90.00°
Space group Pnma (No. 62)
Inequivalent atoms, fractional coordinates:
Sr 0.053 0.250 0.123 [4 per cell]
Sr 0.065 0.250 0.627 [4 per cell]
Bi 0.186 0.750 0.384 [4 per cell]
Bi 0.193 0.750 0.868 [4 per cell]
O 0.087 0.509 0.367 [8 per cell]
O 0.094 0.510 0.882 [8 per cell]
O 0.245 0.750 0.128 [4 per cell]